Cr11Ge8 | GGA-PBE | optimized geometry

Cell and atoms, written as CIF:
```
data_Cr11Ge8
_cell_length_a 4.917
_cell_length_b 13.182
_cell_length_c 15.769
_cell_angle_alpha 90.00
_cell_angle_beta 90.00
_cell_angle_gamma 90.00
_space_group_name_H-M_alt 'P 1'
_space_group_IT_number 1
loop_
_space_group_symop_operation_xyz
'x,y,z'
loop_
_atom_site_label
_atom_site_fract_x
_atom_site_fract_y
_atom_site_fract_z
Cr1 0.750 0.751 0.468
Cr2 0.503 0.440 0.122
Cr3 0.503 0.940 0.378
Cr4 0.250 0.869 0.542
Cr5 0.003 0.560 0.878
Cr6 0.250 0.369 0.958
Cr7 0.750 0.693 0.749
Cr8 0.490 0.637 0.326
Cr9 0.250 0.249 0.532
Cr10 0.750 0.864 0.658
Cr11 0.750 0.935 0.191
Cr12 0.250 0.460 0.407
Cr13 0.250 0.119 0.008
Cr14 0.997 0.440 0.122
Cr15 0.990 0.863 0.826
Cr16 0.510 0.863 0.826
Cr17 0.250 0.565 0.691
Cr18 0.510 0.363 0.674
Cr19 0.750 0.881 0.992
Cr20 0.250 0.307 0.251
Cr21 0.010 0.637 0.326
Cr22 0.250 0.636 0.158
Cr23 0.750 0.251 0.032
Cr24 0.997 0.940 0.378
Cr25 0.490 0.137 0.174
Cr26 0.750 0.364 0.842
Cr27 0.750 0.193 0.751
Cr28 0.750 0.435 0.309
Cr29 0.750 0.381 0.508
Cr30 0.497 0.060 0.622
Cr31 0.250 0.807 0.249
Cr32 0.750 0.040 0.907
Cr33 0.750 0.631 0.042
Cr34 0.497 0.560 0.878
Cr35 0.990 0.363 0.674
Cr36 0.010 0.137 0.174
Cr37 0.250 0.749 0.968
Cr38 0.750 0.540 0.593
Cr39 0.250 0.619 0.492
Cr40 0.003 0.060 0.622
Cr41 0.750 0.131 0.458
Cr42 0.250 0.960 0.093
Cr43 0.250 0.136 0.342
Cr44 0.250 0.065 0.809
Ge1 0.250 0.276 0.094
Ge2 0.250 0.449 0.561
Ge3 0.002 0.212 0.888
Ge4 0.250 0.776 0.406
Ge5 0.250 0.057 0.483
Ge6 0.998 0.288 0.388
Ge7 0.250 0.949 0.939
Ge8 0.250 0.412 0.804
Ge9 0.750 0.009 0.755
Ge10 0.750 0.551 0.439
Ge11 0.250 0.203 0.699
Ge12 0.250 0.491 0.255
Ge13 0.750 0.297 0.199
Ge14 0.750 0.509 0.745
Ge15 0.250 0.991 0.245
Ge16 0.750 0.588 0.196
Ge17 0.498 0.712 0.612
Ge18 0.750 0.088 0.304
Ge19 0.002 0.712 0.612
Ge20 0.250 0.557 0.017
Ge21 0.250 0.912 0.696
Ge22 0.502 0.788 0.112
Ge23 0.502 0.288 0.388
Ge24 0.750 0.724 0.906
Ge25 0.250 0.703 0.801
Ge26 0.750 0.943 0.517
Ge27 0.498 0.212 0.888
Ge28 0.750 0.224 0.594
Ge29 0.998 0.788 0.112
Ge30 0.750 0.443 0.983
Ge31 0.750 0.797 0.301
Ge32 0.750 0.051 0.061
```

- Calculated density: 7.49 g cm⁻³
- Formation energy from the elements: 0.008 eV/atom

HfCrGe2 | GGA-PBE | optimized geometry

Cell and atoms, written as CIF:
```
data_HfCrGe2
_cell_length_a 8.167
_cell_length_b 9.264
_cell_length_c 10.002
_cell_angle_alpha 90.00
_cell_angle_beta 90.00
_cell_angle_gamma 90.00
_space_group_name_H-M_alt 'P 1'
_space_group_IT_number 1
loop_
_space_group_symop_operation_xyz
'x,y,z'
loop_
_atom_site_label
_atom_site_fract_x
_atom_site_fract_y
_atom_site_fract_z
Ge1 0.500 0.041 0.121
Ge2 0.500 0.366 0.899
Ge3 0.500 0.866 0.601
Ge4 0.500 0.459 0.621
Ge5 0.157 0.665 0.818
Ge6 0.000 0.048 0.122
Ge7 0.000 0.127 0.403
Ge8 0.843 0.165 0.682
Ge9 0.000 0.373 0.903
Ge10 0.843 0.335 0.182
Ge11 0.500 0.541 0.379
Ge12 0.157 0.835 0.318
Ge13 0.000 0.452 0.622
Ge14 0.000 0.873 0.597
Ge15 0.500 0.134 0.399
Ge16 0.500 0.959 0.879
Ge17 0.000 0.548 0.378
Ge18 0.843 0.665 0.818
Ge19 0.157 0.165 0.682
Ge20 0.000 0.952 0.878
Ge21 0.000 0.627 0.097
Ge22 0.157 0.335 0.182
Ge23 0.500 0.634 0.101
Ge24 0.843 0.835 0.318
Hf1 0.255 0.329 0.453
Hf2 0.745 0.671 0.547
Hf3 0.500 0.166 0.679
Hf4 0.745 0.829 0.047
Hf5 0.255 0.171 0.953
Hf6 0.500 0.666 0.821
Hf7 0.255 0.829 0.047
Hf8 0.255 0.671 0.547
Hf9 0.745 0.171 0.953
Hf10 0.745 0.329 0.453
Hf11 0.500 0.334 0.179
Hf12 0.500 0.834 0.321
Cr1 0.743 0.500 0.000
Cr2 0.743 0.000 0.500
Cr3 0.251 0.085 0.252
Cr4 0.257 0.000 0.500
Cr5 0.749 0.085 0.252
Cr6 0.251 0.585 0.248
Cr7 0.749 0.915 0.748
Cr8 0.749 0.585 0.248
Cr9 0.257 0.500 0.000
Cr10 0.749 0.415 0.752
Cr11 0.251 0.915 0.748
Cr12 0.251 0.415 0.752
```

- Calculated density: 9.89 g cm⁻³
- Formation energy from the elements: -0.412 eV/atom